Record 1
DyMgTl: relaxed, GGA-PBE.

- Raw total energy: -9.54 eV per formula unit
- Volume: 232.0 Å³/cell
- Energy relative to the elements: -0.323 eV/atom
- Calculated density: 8.40 g/cm³

Cell: 7.5712 7.5712 4.6734 Å, 90.00 90.00 120.00°
With the nearest neighbours (Å) after each atom.
Fractional positions:
Tl  0.3333  0.6667  0.5000  3 Mg 2.93, 6 Dy 3.24
Tl  0.6667  0.3333  0.5000  3 Mg 2.93, 6 Dy 3.24
Tl  0.0000  0.0000  0.0000  6 Mg 2.97, 3 Dy 3.25
Dy  0.5708  0.0000  0.0000  5 Tl 3.24-3.25, 2 Mg 3.41
Dy  0.0000  0.5708  0.0000  5 Tl 3.24-3.25, 2 Mg 3.41
Dy  0.4292  0.4292  0.0000  5 Tl 3.24-3.25, 2 Mg 3.41
Mg  0.0000  0.2422  0.5000  4 Tl 2.93-2.97, 2 Mg 3.18
Mg  0.7578  0.7578  0.5000  4 Tl 2.93-2.97, 2 Mg 3.18
Mg  0.2422  0.0000  0.5000  4 Tl 2.93-2.97, 2 Mg 3.18

***

Record 2
DyMgZn2: relaxed, GGA-PBE.

- Raw total energy: -10.11 eV per formula unit
- Volume: 79.6 Å³/cell
- Energy relative to the elements: -0.346 eV/atom
- Calculated density: 6.62 g/cm³

Cell: 4.8289 4.8289 4.8289 Å, 60.00 60.00 60.00°
With the nearest neighbours (Å) after each atom.
Fractional positions:
Dy  0.5000  0.5000  0.5000  8 Zn 2.96
Mg  0.0000  0.0000  0.0000  8 Zn 2.96
Zn  0.7500  0.7500  0.7500  4 Mg 2.96, 4 Dy 2.96
Zn  0.2500  0.2500  0.2500  4 Dy 2.96, 4 Mg 2.96

***

Record 3
DyMn12: relaxed, GGA-PBE.

- Raw total energy: -114.60 eV per formula unit
- Volume: 160.8 Å³/cell
- Energy relative to the elements: -0.004 eV/atom
- Calculated density: 8.48 g/cm³

Cell: 6.3052 6.3052 6.3052 Å, 97.98 97.98 136.26°
With the nearest neighbours (Å) after each atom.
Fractional positions:
Mn  0.0000  0.3651  0.3651  1 Mn 2.23
Mn  0.3651  0.0000  0.3651  1 Mn 2.23
Mn  0.5000  0.0000  0.0000  10 Mn 2.35-2.56
Mn  0.2705  0.5000  0.7705  8 Mn 2.38-2.60
Mn  0.0000  0.5000  0.0000  10 Mn 2.35-2.56
Mn  0.7295  0.5000  0.2295  8 Mn 2.38-2.60
Mn  0.6349  0.0000  0.6349  1 Mn 2.23
Mn  0.0000  0.0000  0.5000  10 Mn 2.35-2.56
Mn  0.5000  0.7295  0.2295  8 Mn 2.38-2.60
Mn  0.0000  0.6349  0.6349  1 Mn 2.23
Mn  0.5000  0.5000  0.5000  10 Mn 2.35-2.56
Mn  0.5000  0.2705  0.7705  8 Mn 2.38-2.60
Dy  0.0000  0.0000  0.0000  20 Mn 3.02-3.15

***

What did the first record say?
DyMgTl: relaxed, GGA-PBE.

- Raw total energy: -9.54 eV per formula unit
- Volume: 232.0 Å³/cell
- Energy relative to the elements: -0.323 eV/atom
- Calculated density: 8.40 g/cm³

Cell: 7.5712 7.5712 4.6734 Å, 90.00 90.00 120.00°
With the nearest neighbours (Å) after each atom.
Fractional positions:
Tl  0.3333  0.6667  0.5000  3 Mg 2.93, 6 Dy 3.24
Tl  0.6667  0.3333  0.5000  3 Mg 2.93, 6 Dy 3.24
Tl  0.0000  0.0000  0.0000  6 Mg 2.97, 3 Dy 3.25
Dy  0.5708  0.0000  0.0000  5 Tl 3.24-3.25, 2 Mg 3.41
Dy  0.0000  0.5708  0.0000  5 Tl 3.24-3.25, 2 Mg 3.41
Dy  0.4292  0.4292  0.0000  5 Tl 3.24-3.25, 2 Mg 3.41
Mg  0.0000  0.2422  0.5000  4 Tl 2.93-2.97, 2 Mg 3.18
Mg  0.7578  0.7578  0.5000  4 Tl 2.93-2.97, 2 Mg 3.18
Mg  0.2422  0.0000  0.5000  4 Tl 2.93-2.97, 2 Mg 3.18

***

Which value of volume does entry 3 give? 160.8 Å³/cell

***

Number 3 is which compound? DyMn12